(1)
Density functional theory data (PBE) for C12SeF10 after structural relaxation.

Cell: 9.4610 7.6305 9.6374 Å, 90.00 106.42 90.00°
Space group P2_1 (No. 4)
Asymmetric unit:
C  0.0065  0.0000  0.2091 [2 per cell]
C  0.0274  0.1578  0.7080 [2 per cell]
C  0.0721  0.7682  0.3865 [2 per cell]
C  0.0892  0.9403  0.3445 [2 per cell]
C  0.0950  0.3885  0.8826 [2 per cell]
C  0.1148  0.2161  0.8426 [2 per cell]
C  0.3777  0.0187  0.8441 [2 per cell]
C  0.3998  0.8485  0.8008 [2 per cell]
C  0.4343  0.4530  0.3304 [2 per cell]
C  0.4530  0.1549  0.7987 [2 per cell]
C  0.4547  0.6241  0.2885 [2 per cell]
C  0.4927  0.8147  0.7143 [2 per cell]
Se  0.2554  0.0629  0.9702 [2 per cell]
F  0.0257  0.1654  0.1679 [2 per cell]
F  0.0379  0.9908  0.6659 [2 per cell]
F  0.1532  0.7088  0.5163 [2 per cell]
F  0.1741  0.4524  0.0120 [2 per cell]
F  0.1869  0.0476  0.4333 [2 per cell]
F  0.3319  0.7110  0.8428 [2 per cell]
F  0.3428  0.4214  0.4119 [2 per cell]
F  0.3827  0.7580  0.3301 [2 per cell]
F  0.4386  0.3219  0.8398 [2 per cell]
F  0.4874  0.1498  0.3267 [2 per cell]

Summary:
Energy = -6.468 eV/atom

---

(2)
Density functional theory data (PBE) for SnC24F20 after structural relaxation.

Cell: 17.8159 17.8159 8.1101 Å, 90.00 90.00 90.00°
Space group I4_1/a (No. 88, origin choice 2)
Asymmetric unit:
Sn  0.0000  0.2500  0.1250 [4 per cell]
C  0.0271  0.3607  0.4089 [16 per cell]
C  0.0646  0.3212  0.2856 [16 per cell]
C  0.0645  0.4058  0.5223 [16 per cell]
C  0.0786  0.1077  0.9716 [16 per cell]
C  0.1234  0.0682  0.8602 [16 per cell]
C  0.1426  0.4119  0.5128 [16 per cell]
F  0.0267  0.4432  0.6411 [16 per cell]
F  0.0422  0.0675  0.0891 [16 per cell]
F  0.0491  0.1446  0.4208 [16 per cell]
F  0.1296  0.4930  0.1293 [16 per cell]
F  0.1797  0.4544  0.6227 [16 per cell]

Summary:
Energy = -6.556 eV/atom

---

(3)
Density functional theory data (PBE) for TeC2F8 after structural relaxation.

Cell: 22.4791 9.9800 9.1849 Å, 90.00 91.84 90.00°
Space group C2/c (No. 15)
Asymmetric unit:
Te  0.0000  0.0651  0.2500 [4 per cell]
Te  0.1663  0.1895  0.5789 [8 per cell]
C  0.0605  0.2159  0.1477 [8 per cell]
C  0.1016  0.3533  0.6310 [8 per cell]
C  0.2220  0.2168  0.7850 [8 per cell]
F  0.0321  0.3336  0.1243 [8 per cell]
F  0.0475  0.1035  0.4354 [8 per cell]
F  0.0540  0.3046  0.6987 [8 per cell]
F  0.0772  0.1675  0.0180 [8 per cell]
F  0.0832  0.4116  0.5046 [8 per cell]
F  0.1098  0.2386  0.2319 [8 per cell]
F  0.1197  0.0709  0.7121 [8 per cell]
F  0.1281  0.4472  0.7168 [8 per cell]
F  0.1879  0.2508  0.8976 [8 per cell]
F  0.2091  0.3503  0.4992 [8 per cell]
F  0.2362  0.1879  0.2303 [8 per cell]
F  0.2489  0.0988  0.8167 [8 per cell]

Summary:
Energy = -4.888 eV/atom

---

(4)
Density functional theory data (PBE) for Fe2C after structural relaxation.

Cell: 6.1722 2.6031 6.5810 Å, 90.00 90.00 90.00°
Space group Pnma (No. 62)
Asymmetric unit:
Fe  0.0061  0.2500  0.1796 [4 per cell]
Fe  0.1758  0.2500  0.5251 [4 per cell]
C  0.2242  0.7500  0.3114 [4 per cell]

Summary:
Energy = -8.544 eV/atom

---

| no. | calculated formation energy (eV/f.u.) | theoretical density (g/cm3) |
| --- | --- | --- |
| 1 | -20.00 | 2.1 |
| 2 | -40.45 | 2.0 |
| 3 | -20.54 | 2.9 |
| 4 | 0.54 | 7.8 |